Record 1
Computed, not measured: an optimized crystal structure of Li5La3Nb2O12 at the PBE-GGA level of DFT.

Relative energy among the computed polymorphs (eV/f.u.): 0.10
ΔE_f (kJ/mol of atoms): -298
Crystal system: triclinic

Cell: 11.1254 11.1438 11.1622 Å, 109.44 109.69 109.08°
Space group P1 (No. 1)
Unique sites:
Li  0.0000  0.0000  0.0000
Li  0.0244  0.3210  0.7865
Li  0.0847  0.6839  0.2606
Li  0.1562  0.9021  0.8414
Li  0.1799  0.2443  0.2962
Li  0.2248  0.5998  0.0996
Li  0.2901  0.5482  0.3332
Li  0.3256  0.7641  0.9333
Li  0.3615  0.4911  0.8534
Li  0.4042  0.9739  0.7956
Li  0.4302  0.4025  0.6159
Li  0.4978  0.2374  0.7372
Li  0.5432  0.4777  0.4320
Li  0.6475  0.5420  0.9728
Li  0.6922  0.1194  0.6585
Li  0.7236  0.3549  0.3609
Li  0.8148  0.6128  0.2947
Li  0.8546  0.0882  0.2299
Li  0.8613  0.7258  0.5870
Li  0.9077  0.8416  0.1614
La  0.2289  0.1667  0.7935
La  0.2408  0.0392  0.4236
La  0.3599  0.6610  0.6596
La  0.3673  0.1650  0.1680
La  0.4911  0.5468  0.1743
La  0.4947  0.9271  0.3003
La  0.7304  0.0416  0.9129
La  0.7390  0.6736  0.7939
La  0.8593  0.9317  0.4364
La  0.8609  0.4286  0.9300
La  0.9807  0.4135  0.2940
La  0.9905  0.5400  0.6743
Nb  0.1074  0.2915  0.5408
Nb  0.1091  0.2894  0.0414
Nb  0.1104  0.7948  0.0447
Nb  0.1156  0.7941  0.5445
Nb  0.6075  0.7964  0.5478
Nb  0.6086  0.2880  0.0441
Nb  0.6094  0.7971  0.0455
Nb  0.6164  0.2960  0.5476
O  0.0206  0.8135  0.3671
O  0.0241  0.0926  0.3690
O  0.0270  0.1832  0.6323
O  0.0318  0.9040  0.6410
O  0.0838  0.5927  0.9331
O  0.0951  0.4743  0.1471
O  0.1335  0.9930  0.1622
O  0.1399  0.1190  0.9605
O  0.1841  0.6663  0.4450
O  0.2004  0.4031  0.4546
O  0.2006  0.4944  0.7190
O  0.2125  0.7752  0.7241
O  0.2211  0.3860  0.9600
O  0.2267  0.8137  0.2377
O  0.2852  0.9958  0.6327
O  0.2886  0.2683  0.6354
O  0.3015  0.9067  0.0604
O  0.3088  0.3766  0.2229
O  0.4068  0.1193  0.9543
O  0.4144  0.2761  0.4318
O  0.4314  0.7002  0.0623
O  0.4370  0.7014  0.3365
O  0.4938  0.3791  0.9533
O  0.5033  0.1057  0.5317
O  0.5103  0.8639  0.9180
O  0.5184  0.6136  0.5655
O  0.5238  0.8793  0.6609
O  0.5332  0.6136  0.8490
O  0.5860  0.1829  0.3500
O  0.5869  0.3820  0.2218
O  0.6283  0.4139  0.7438
O  0.6328  0.2053  0.8680
O  0.6900  0.9650  0.5165
O  0.6955  0.9626  0.2445
O  0.7003  0.7069  0.4317
O  0.7056  0.7092  0.1594
O  0.7279  0.2088  0.1309
O  0.7295  0.4930  0.5645
O  0.7801  0.8742  0.7447
O  0.7890  0.8942  0.0282
O  0.8084  0.4703  0.1324
O  0.8128  0.3242  0.6746
O  0.9076  0.6833  0.0190
O  0.9130  0.2226  0.8751
O  0.9332  0.5993  0.4669
O  0.9401  0.3252  0.4564
O  0.9952  0.1933  0.1236
O  0.9954  0.7665  0.8407

Record 2
Computed, not measured: an optimized crystal structure of LiLaNb4O12 at the PBE-GGA level of DFT.

Relative energy among the computed polymorphs (eV/f.u.): 0.00
ΔE_f (kJ/mol of atoms): -300
Crystal system: tetragonal

Cell: 5.6197 5.6197 16.0678 Å, 90.00 90.00 90.00°
Space group I4/mmm (No. 139)
Unique sites:
Li  0.0000  0.0000  0.0000
La  0.0000  0.0000  0.5000
Nb  0.0000  0.5000  0.1292
O  0.0000  0.5000  0.0000
O  0.0000  0.5000  0.2500
O  0.2442  0.2442  0.3856

Record 3
Computed, not measured: an optimized crystal structure of Li5La3Nb2O12 at the PBE-GGA level of DFT.

Relative energy among the computed polymorphs (eV/f.u.): 0.00
ΔE_f (kJ/mol of atoms): -299
Crystal system: triclinic

Cell: 11.1368 11.1588 11.1589 Å, 109.73 109.13 109.32°
Space group P1 (No. 1)
Unique sites:
Li  0.0000  0.0000  0.0000
Li  0.0118  0.6463  0.3612
Li  0.0417  0.5742  0.0980
Li  0.0867  0.1835  0.3066
Li  0.1838  0.2080  0.6112
Li  0.2319  0.6743  0.9590
Li  0.2812  0.2462  0.1833
Li  0.3305  0.7154  0.5323
Li  0.3620  0.4882  0.8564
Li  0.4325  0.7504  0.8280
Li  0.4624  0.3504  0.0323
Li  0.5028  0.2807  0.7818
Li  0.5596  0.2140  0.2618
Li  0.5781  0.0360  0.6834
Li  0.6500  0.1444  0.5033
Li  0.6855  0.8513  0.7545
Li  0.7287  0.5461  0.3308
Li  0.8160  0.0729  0.3833
Li  0.9251  0.8676  0.4595
Li  0.9691  0.7086  0.8946
La  0.0060  0.8479  0.2038
La  0.1174  0.7113  0.6880
La  0.1265  0.0834  0.8169
La  0.3818  0.8348  0.3152
La  0.3882  0.2127  0.4529
La  0.5078  0.0841  0.9465
La  0.5077  0.5814  0.4406
La  0.6209  0.7173  0.1877
La  0.6399  0.5908  0.8228
La  0.8874  0.3396  0.3226
La  0.8878  0.2210  0.9523
La  0.9994  0.3424  0.7048
Nb  0.2554  0.4632  0.5684
Nb  0.2566  0.4590  0.0777
Nb  0.2604  0.9621  0.5717
Nb  0.2639  0.9629  0.0734
Nb  0.7510  0.9630  0.0707
Nb  0.7546  0.4622  0.0673
Nb  0.7552  0.4651  0.5748
Nb  0.7591  0.9563  0.5755
O  0.0597  0.2843  0.4842
O  0.0597  0.4365  0.9600
O  0.0831  0.8887  0.8880
O  0.0842  0.8686  0.5909
O  0.1404  0.2547  0.0401
O  0.1439  0.5536  0.4875
O  0.1658  0.7834  0.0920
O  0.1727  0.0510  0.4595
O  0.1725  0.0592  0.1891
O  0.1733  0.7888  0.3701
O  0.2276  0.3409  0.8687
O  0.2374  0.5566  0.7515
O  0.2831  0.3641  0.3992
O  0.2908  0.5822  0.2742
O  0.3314  0.8635  0.9485
O  0.3396  0.1362  0.7712
O  0.3507  0.8800  0.6866
O  0.3578  0.1421  0.0588
O  0.3692  0.6540  0.0912
O  0.3713  0.3829  0.6714
O  0.4322  0.0523  0.2780
O  0.4355  0.0507  0.5468
O  0.4507  0.6404  0.6505
O  0.4563  0.4842  0.1851
O  0.5616  0.3792  0.3955
O  0.5626  0.8446  0.5583
O  0.5745  0.4782  0.9708
O  0.5823  0.7559  0.9779
O  0.6396  0.3704  0.6515
O  0.6423  0.9470  0.3843
O  0.6599  0.9827  0.8944
O  0.6611  0.3519  0.1552
O  0.6665  0.2586  0.8979
O  0.6786  0.0859  0.1651
O  0.7290  0.6341  0.6614
O  0.7290  0.7606  0.4450
O  0.7750  0.1538  0.6851
O  0.7858  0.2859  0.4843
O  0.8360  0.6608  0.2515
O  0.8379  0.9345  0.2448
O  0.8431  0.8466  0.9840
O  0.8556  0.5892  0.9991
O  0.8712  0.9912  0.7787
O  0.8721  0.5428  0.4787
O  0.9286  0.1527  0.1454
O  0.9316  0.4482  0.1643
O  0.9549  0.0704  0.5918
O  0.9619  0.5544  0.7449

Record 4
Computed, not measured: an optimized crystal structure of LiLaNb4O12 at the PBE-GGA level of DFT.

Relative energy among the computed polymorphs (eV/f.u.): 0.00
ΔE_f (kJ/mol of atoms): -300
Crystal system: tetragonal

Cell: 5.6231 5.6231 8.0309 Å, 90.00 90.00 90.00°
Space group P4/mmm (No. 123)
Unique sites:
Li  0.0000  0.0000  0.0000
La  0.5000  0.5000  0.0000
Nb  0.0000  0.5000  0.2575
O  0.0000  0.5000  0.0000
O  0.0000  0.5000  0.5000
O  0.2559  0.2559  0.2275

Question: What is the formula in the second record?
Answer: LiLaNb4O12

What did the fourth record say?
Computed, not measured: an optimized crystal structure of LiLaNb4O12 at the PBE-GGA level of DFT.

Relative energy among the computed polymorphs (eV/f.u.): 0.00
ΔE_f (kJ/mol of atoms): -300
Crystal system: tetragonal

Cell: 5.6231 5.6231 8.0309 Å, 90.00 90.00 90.00°
Space group P4/mmm (No. 123)
Unique sites:
Li  0.0000  0.0000  0.0000
La  0.5000  0.5000  0.0000
Nb  0.0000  0.5000  0.2575
O  0.0000  0.5000  0.0000
O  0.0000  0.5000  0.5000
O  0.2559  0.2559  0.2275

Please write out number 2 again, unchanged.
Computed, not measured: an optimized crystal structure of LiLaNb4O12 at the PBE-GGA level of DFT.

Relative energy among the computed polymorphs (eV/f.u.): 0.00
ΔE_f (kJ/mol of atoms): -300
Crystal system: tetragonal

Cell: 5.6197 5.6197 16.0678 Å, 90.00 90.00 90.00°
Space group I4/mmm (No. 139)
Unique sites:
Li  0.0000  0.0000  0.0000
La  0.0000  0.0000  0.5000
Nb  0.0000  0.5000  0.1292
O  0.0000  0.5000  0.0000
O  0.0000  0.5000  0.2500
O  0.2442  0.2442  0.3856